First-principles (PBE with a Hubbard U) data for a geometry-optimized Co4NiO8 structure, as listed in the Materials Project database.

Computed properties:
The energy above the most stable polymorph in this dataset comes out at 2.3 kJ per mole of atoms. Its crystal system is monoclinic.

Unit cell a=5.632 b=5.632 c=5.884 alpha=60.61 beta=60.61 gamma=59.79
Positions (direct):
Co (0.500, 0.500, 0.500)
Co (0.000, 0.000, 0.000)
Co (0.500, 0.000, 0.000)
Co (0.000, 0.500, 0.000)
Ni (0.500, 0.500, 0.000)
O (0.267, 0.267, 0.196)
O (0.751, 0.278, 0.205)
O (0.278, 0.751, 0.205)
O (0.759, 0.759, 0.206)
O (0.241, 0.241, 0.794)
O (0.722, 0.249, 0.795)
O (0.249, 0.722, 0.795)
O (0.733, 0.733, 0.804)

First-principles (PBE with a Hubbard U) data for a geometry-optimized Co5NiO12 structure, as listed in the Materials Project database.

Computed properties:
Its crystal system is monoclinic.

Unit cell a=4.897 b=4.902 c=9.618 alpha=89.98 beta=89.95 gamma=60.03
Positions (direct):
Co (0.167, 0.667, 0.500)
Co (0.667, 0.667, 0.000)
Co (0.333, 0.333, 0.000)
Co (0.833, 0.333, 0.500)
Co (0.500, 0.000, 0.500)
Ni (0.000, 0.000, 0.000)
O (0.000, 0.668, 0.098)
O (0.332, 0.668, 0.902)
O (0.167, 0.333, 0.402)
O (0.500, 0.667, 0.402)
O (0.500, 0.333, 0.598)
O (0.167, 0.000, 0.598)
O (0.833, 0.667, 0.598)
O (0.668, 0.332, 0.098)
O (0.332, 0.000, 0.098)
O (0.000, 0.332, 0.902)
O (0.668, 0.000, 0.902)
O (0.833, 0.000, 0.402)

First-principles (PBE with a Hubbard U) data for a geometry-optimized Co2NiO6 structure, as listed in the Materials Project database.

Computed properties:
Its crystal system is orthorhombic.

Unit cell a=4.884 b=9.582 c=4.893 alpha=90.00 beta=60.06 gamma=90.00
Positions (direct):
Co (0.333, 0.000, 0.333)
Co (0.167, 0.500, 0.667)
Co (0.833, 0.500, 0.333)
Co (0.667, 0.000, 0.667)
Ni (0.000, 0.000, 0.000)
Ni (0.500, 0.500, 0.000)
O (0.168, 0.598, 0.000)
O (0.333, 0.098, 0.000)
O (0.667, 0.902, 0.000)
O (0.833, 0.402, 0.000)
O (0.000, 0.902, 0.332)
O (0.168, 0.402, 0.332)
O (0.500, 0.598, 0.332)
O (0.668, 0.098, 0.332)
O (0.000, 0.098, 0.668)
O (0.332, 0.902, 0.668)
O (0.500, 0.402, 0.668)
O (0.832, 0.598, 0.668)

| no. | magnetization (μB per cell) | total DFT energy (no corrections) (eV per atom) |
| --- | --- | --- |
| 1 | 6.7 | -5.58 |
| 2 | 5.0 | -5.54 |
| 3 | 0.0 | -5.36 |